Record 1
Compound: Rb2ZrS4
Source: the Materials Project
Functional: meta-GGA r2SCAN
Structure: relaxed

Structure (extended XYZ):
```
56
Lattice="6.796 0.000 0.000 0.000 9.834 0.000 0.000 0.000 23.992" Properties=species:S:1:pos:R:3 pbc="T T T"
S 2.548 5.338 9.847
S 3.026 4.107 15.807
S 1.904 7.513 4.839
S 2.548 0.421 2.149
Rb 0.345 5.589 7.204
Rb 6.451 9.162 19.200
Rb 2.077 3.529 0.818
Rb 3.743 4.245 4.792
Rb 1.321 8.446 23.174
Zr 3.135 1.699 20.855
S 5.302 7.238 4.839
Zr 0.263 1.699 8.859
S 5.770 3.223 10.380
Rb 5.475 6.306 11.178
S 4.892 7.238 16.835
S 5.302 2.321 7.156
Zr 3.661 3.218 8.859
S 4.248 4.496 14.145
S 2.372 6.611 1.616
S 4.423 8.140 13.612
S 3.769 5.727 8.185
S 4.892 2.321 19.152
Rb 3.743 9.162 7.204
S 1.904 2.596 7.156
Zr 0.263 6.617 3.137
S 0.371 9.024 8.185
Zr 3.661 8.135 3.137
S 5.945 9.413 9.847
Rb 1.321 3.529 12.814
Zr 6.533 3.218 20.855
S 5.770 8.140 1.616
S 0.850 0.421 14.145
S 1.494 7.513 16.835
Zr 3.135 6.617 15.133
S 0.371 4.107 3.811
S 5.945 4.496 2.149
Rb 2.077 8.446 11.178
Zr 6.533 8.135 15.133
S 3.026 9.024 20.181
S 2.372 1.694 10.380
S 4.248 9.413 21.843
Rb 3.053 5.589 19.200
Rb 4.719 1.389 12.814
Rb 3.053 0.672 16.788
S 0.850 5.338 21.843
Rb 0.345 0.672 4.792
S 3.769 0.810 3.811
Rb 6.451 4.245 16.788
Rb 5.475 1.389 0.818
S 1.025 1.694 22.376
S 1.025 6.611 13.612
S 1.494 2.596 19.152
S 4.423 3.223 22.376
S 6.424 0.810 15.807
S 6.424 5.727 20.181
Rb 4.719 6.306 23.174
```

Computed properties:
- DFT formation energy: -1500.6 meV/atom
- Calculated volume: 1603 Å³ per cell

=====

Record 2
Compound: RbSb2
Source: the Materials Project
Functional: meta-GGA r2SCAN
Structure: relaxed

Structure (extended XYZ):
```
6
Lattice="-3.138 1.526 -2.342 0.161 -7.278 -1.188 -4.872 0.982 7.168" Properties=species:S:1:pos:R:3 pbc="T T T"
Sb -4.576 -5.017 2.863
Sb -3.273 0.247 0.776
Sb -0.809 -1.123 0.352
Sb -7.039 -3.647 3.286
Rb -3.876 -1.483 4.229
Rb -3.972 -3.287 -0.590
```

Computed properties:
- DFT formation energy: -404.1 meV/atom
- Calculated volume: 250 Å³ per cell

=====

Record 3
Compound: Rb3SbSe4
Source: the Materials Project
Functional: meta-GGA r2SCAN
Structure: relaxed

Structure (extended XYZ):
```
32
Lattice="9.968 0.000 0.000 0.000 10.353 0.000 0.000 0.000 11.572" Properties=species:S:1:pos:R:3 pbc="T T T"
Se 0.013 6.162 8.679
Se 6.481 4.835 0.833
Se 3.486 5.518 6.619
Rb 4.330 2.052 11.056
Rb 5.638 8.301 5.271
Rb 3.608 4.337 2.893
Se 3.486 5.518 10.739
Se 8.470 10.012 6.619
Sb 2.210 4.966 8.679
Se 8.190 7.836 2.893
Se 4.997 9.368 8.679
Sb 7.758 5.388 2.893
Rb 1.376 9.514 8.679
Rb 5.638 8.301 0.515
Se 6.481 4.835 4.953
Se 6.761 2.660 8.679
Rb 0.654 7.228 5.271
Se 1.778 2.517 8.679
Rb 9.314 3.125 11.056
Rb 4.330 2.052 6.301
Rb 8.592 0.839 2.893
Se 1.497 0.341 4.953
Se 8.470 10.012 10.739
Se 3.206 7.693 2.893
Sb 2.774 10.142 2.893
Se 9.955 4.191 2.893
Sb 7.194 0.211 8.679
Rb 0.654 7.228 0.515
Rb 9.314 3.125 6.301
Se 4.971 0.985 2.893
Se 1.497 0.341 0.833
Rb 6.359 6.016 8.679
```

Computed properties:
- DFT formation energy: -1032.5 meV/atom
- Calculated volume: 1194 Å³ per cell

=====

Record 4
Compound: Rb2Se
Source: the Materials Project
Functional: meta-GGA r2SCAN
Structure: relaxed

Structure (extended XYZ):
```
3
Lattice="4.934 0.000 2.849 1.645 4.652 2.849 0.000 0.000 5.698" Properties=species:S:1:pos:R:3 pbc="T T T"
Se 0.000 0.000 0.000
Rb 4.934 3.489 8.546
Rb 1.645 1.163 2.849
```

Computed properties:
- DFT formation energy: -1250.9 meV/atom
- Calculated volume: 131 Å³ per cell

=====

Record 5
Compound: Rb2Se3
Source: the Materials Project
Functional: meta-GGA r2SCAN
Structure: relaxed

Structure (extended XYZ):
```
10
Lattice="-6.740 -0.224 -0.506 1.883 -2.480 6.003 -0.482 7.309 3.171" Properties=species:S:1:pos:R:3 pbc="T T T"
Se -5.406 3.236 5.258
Se -2.888 4.639 2.408
Se 0.141 0.255 2.927
Se -2.378 -1.146 5.777
Rb -3.309 1.217 3.234
Se -4.948 -0.686 0.850
Rb -6.157 3.565 1.873
Rb -2.102 4.493 5.913
Se -0.151 1.650 6.239
Rb 1.013 -1.902 5.518
```

Computed properties:
- DFT formation energy: -953.1 meV/atom
- Calculated volume: 344 Å³ per cell

=====

Record 6
Compound: Rb2Si2Se5
Source: the Materials Project
Functional: meta-GGA r2SCAN
Structure: relaxed

Structure (extended XYZ):
```
36
Lattice="8.042 8.028 -0.021 -8.042 8.028 -0.021 0.000 2.490 9.097" Properties=species:S:1:pos:R:3 pbc="T T T"
Rb 1.225 11.096 3.388
Rb 1.225 6.205 1.119
Si -3.281 7.268 1.030
Se 0.911 5.593 8.640
Se 2.022 10.026 0.212
Se -4.563 8.736 4.883
Se -4.563 11.055 8.721
Si 3.281 11.278 8.026
Se -0.911 12.952 0.416
Se -4.580 5.951 2.381
Se 4.580 7.196 6.929
Se -2.022 11.271 4.760
Se 4.580 12.595 6.675
Se -7.282 8.650 2.254
Se 2.022 7.275 4.296
Rb -1.225 7.450 5.667
Se 4.563 9.810 4.173
Rb 2.159 4.048 5.649
Si -5.939 9.930 0.894
Se 7.282 9.895 6.802
Se -2.022 8.520 8.844
Rb -2.159 14.498 3.407
Rb -1.225 12.341 7.937
Si -3.281 10.033 3.478
Si -5.939 7.370 3.613
Se 1.894 9.895 6.802
Rb -2.159 2.803 1.100
Si 5.939 11.175 5.442
Si 5.939 8.615 8.162
Se 0.911 14.197 4.964
Se -1.894 8.650 2.254
Se -0.911 4.348 4.092
Se -4.580 11.350 2.126
Rb 2.159 15.743 7.955
Se 4.563 7.491 0.335
Si 3.281 8.513 5.578
```

Computed properties:
- DFT formation energy: -978.2 meV/atom
- Calculated volume: 1175 Å³ per cell

=====

Record 7
Compound: RbTbSe2
Source: the Materials Project
Functional: meta-GGA r2SCAN
Structure: relaxed

Structure (extended XYZ):
```
4
Lattice="-5.390 -3.519 5.250 -1.819 -3.087 7.494 -4.436 0.214 7.020" Properties=species:S:1:pos:R:3 pbc="T T T"
Se -2.704 -1.484 4.588
Se -8.942 -4.908 15.176
Rb 0.000 0.000 0.000
Tb -5.823 -3.196 9.882
```

Computed properties:
- DFT formation energy: -2029.8 meV/atom
- Calculated volume: 124 Å³ per cell

=====

Record 8
Compound: Rb2Tc3Se6
Source: the Materials Project
Functional: meta-GGA r2SCAN
Structure: relaxed

Structure (extended XYZ):
```
44
Lattice="-3.841 -9.477 0.406 -0.252 -5.082 8.879 -11.447 4.477 2.526" Properties=species:S:1:pos:R:3 pbc="T T T"
Se -7.458 -5.833 7.811
Tc -8.328 -9.380 10.332
Tc -11.281 0.403 5.949
Se -9.823 1.746 4.460
Se -9.328 -0.095 7.453
Se -13.698 -6.688 9.762
Se -9.916 -5.276 10.389
Se -8.262 -9.278 7.821
Se -1.408 -5.322 4.983
Tc -1.955 -2.899 4.482
Se -5.624 -4.806 1.423
Tc -0.354 -1.551 2.894
Se -1.842 -3.394 2.050
Rb -6.638 -2.227 7.024
Rb -12.837 -3.426 10.271
Se -8.082 -4.248 4.000
Se -4.692 -8.246 7.227
Rb -8.902 -7.854 4.787
Rb -5.338 -6.686 4.259
Rb -10.202 -3.395 7.552
Se -4.804 -1.355 1.533
Se -5.717 -11.828 7.352
Tc -8.936 -2.200 2.776
Se -8.403 -6.924 1.477
Tc -4.259 -10.485 5.862
Se -10.808 -0.622 10.574
Rb -3.905 -4.932 7.643
Se -4.561 -3.385 4.651
Se -10.848 -1.836 4.584
Se -4.732 -9.459 1.237
Se -6.212 -9.987 4.359
Tc -7.212 -0.702 1.479
Rb -2.703 -6.655 1.540
Se -7.137 -3.158 10.334
Se -7.278 -0.803 3.990
Tc -13.585 -7.182 7.330
Tc -9.175 -7.258 9.030
Tc -6.365 -2.824 2.781
Se -14.133 -4.760 6.828
Se -10.736 -8.726 10.278
Tc -6.604 -7.882 9.035
Se -10.979 -6.697 7.161
Tc -15.186 -8.530 8.917
Rb -11.635 -5.150 4.168
```

Computed properties:
- DFT formation energy: -886.3 meV/atom
- Calculated volume: 1135 Å³ per cell

=====

- The highest DFT formation energy belongs to which entry?
  RbSb2

=====

What did the second record say?
Compound: RbSb2
Source: the Materials Project
Functional: meta-GGA r2SCAN
Structure: relaxed

Structure (extended XYZ):
```
6
Lattice="-3.138 1.526 -2.342 0.161 -7.278 -1.188 -4.872 0.982 7.168" Properties=species:S:1:pos:R:3 pbc="T T T"
Sb -4.576 -5.017 2.863
Sb -3.273 0.247 0.776
Sb -0.809 -1.123 0.352
Sb -7.039 -3.647 3.286
Rb -3.876 -1.483 4.229
Rb -3.972 -3.287 -0.590
```

Computed properties:
- DFT formation energy: -404.1 meV/atom
- Calculated volume: 250 Å³ per cell

=====

- Which value of calculated volume does entry 6 give?
  1175 Å³ per cell